1.
Here is a relaxed ScCuSe2 crystal from the Materials Project. Energies are from PBE-GGA.

Output
E (MP2020) = -5.70 eV per atom
energy of formation from the pure elements = -5.4 eV per formula unit
theoretical density = 5.29 g/cm³

Structure (POSCAR):
```
ScCuSe2
1.0
14.3331 0.0000 0.0000
0.0000 3.9153 0.0000
-3.1041 0.0000 5.9631
Sc Cu Se
4 4 8
Cartesian
2.7592 0.0000 1.3873
1.3033 1.9576 4.5758
9.9258 1.9576 1.3873
8.4699 0.0000 4.5758
-1.9088 1.9576 5.3258
5.9713 0.0000 0.6373
5.2578 0.0000 5.3258
13.1379 1.9576 0.6373
-0.6148 0.0000 4.6883
0.9435 1.9576 1.8174
3.1190 0.0000 4.1456
4.6773 1.9576 1.2748
6.5518 1.9576 4.6883
8.1101 0.0000 1.8174
10.2856 1.9576 4.1456
11.8439 0.0000 1.2748
```

2.
Here is a relaxed ScCuSe2 crystal from the Materials Project. Energies are from PBE-GGA.

Output
E (MP2020) = -5.69 eV per atom
energy of formation from the pure elements = -5.3 eV per formula unit
theoretical density = 5.22 g/cm³

Structure (POSCAR):
```
ScCuSe2
1.0
3.9449 0.0000 0.0000
-1.9725 3.4164 0.0000
0.0000 0.0000 6.2921
Sc Cu Se
1 1 2
Cartesian
0.0000 0.0000 0.0000
0.0000 2.2776 3.8355
0.0000 2.2776 1.4201
1.9725 1.1388 4.6574
```

3.
Here is a relaxed ScCu3Se3 crystal from the Materials Project. Energies are from PBE-GGA.

Output
E (MP2020) = -5.02 eV per atom
energy of formation from the pure elements = -6.0 eV per formula unit
theoretical density = 6.10 g/cm³

Structure (POSCAR):
```
ScCu3Se3
1.0
3.4088 1.9681 6.3865
-3.4088 1.9681 6.3865
0.0000 -3.9361 6.3865
Sc Cu Se
2 6 6
Cartesian
0.0000 0.0000 3.1850
0.0000 0.0000 15.9746
-2.3842 0.0060 7.1518
-1.1973 -2.0617 12.0078
1.1869 -2.0677 7.1518
-1.1869 2.0677 12.0078
1.1973 2.0617 7.1518
2.3842 -0.0060 12.0078
-1.1211 -1.9234 8.1007
-2.2262 0.0092 11.0589
-1.1051 1.9326 8.1007
1.1051 -1.9326 11.0589
2.2262 -0.0092 8.1007
1.1211 1.9234 11.0589
```

4.
Here is a relaxed ScCuSe2 crystal from the Materials Project. Energies are from PBE-GGA.

Output
E (MP2020) = -5.70 eV per atom
energy of formation from the pure elements = -5.4 eV per formula unit
theoretical density = 5.29 g/cm³

Structure (POSCAR):
```
ScCuSe2
1.0
9.2702 0.0000 0.0000
0.0000 7.7813 0.0000
-8.7323 0.0000 9.2835
Sc Cu Se
8 8 16
Cartesian
-0.0195 1.8835 0.0315
-4.3856 2.0071 4.6732
2.5009 7.7783 2.2176
-1.8652 3.8936 6.8594
-1.9631 0.0030 7.0659
2.4031 3.8876 2.4241
4.9235 5.7742 4.6103
0.5573 5.8977 9.2521
-6.2567 0.0060 8.2897
-1.8906 3.8846 3.6479
-0.0289 1.9388 3.3288
-4.3950 1.9518 7.9706
4.9329 5.8295 1.3129
0.5668 5.8424 5.9547
2.4284 3.8967 5.6356
6.7946 7.7752 0.9939
-0.2458 3.9051 1.8582
-4.6119 7.7668 6.5000
-4.5981 3.9300 6.5764
-0.2319 7.7419 1.9347
2.6974 5.7949 0.3878
-1.6687 5.8770 5.0296
-1.6992 1.8835 5.0934
2.6670 2.0071 0.4516
-2.1291 5.7742 8.8319
2.2370 5.8977 4.1901
2.2066 1.9042 4.2539
-2.1595 1.9864 8.8957
0.7698 0.0394 7.3488
5.1360 3.8512 2.7071
5.1498 0.0145 2.7835
0.7837 3.8762 7.4253
```

5.
Here is a relaxed SrScCu3Se4 crystal from the Materials Project. Energies are from PBE-GGA.

Output
E (MP2020) = -4.87 eV per atom
energy of formation from the pure elements = -9.5 eV per formula unit
theoretical density = 4.55 g/cm³

Structure (POSCAR):
```
SrScCu3Se4
1.0
6.1551 0.0000 0.0000
0.0000 6.1551 0.0000
0.0000 0.0000 6.1551
Sr Sc Cu Se
1 1 3 4
Cartesian
0.0000 0.0000 0.0000
3.0775 3.0775 3.0775
0.0000 3.0775 3.0775
3.0775 0.0000 3.0775
3.0775 3.0775 0.0000
1.6535 1.6535 4.5015
1.6535 4.5015 1.6535
4.5015 1.6535 1.6535
4.5015 4.5015 4.5015
```

6.
Here is a relaxed Sc3Cu4Si4 crystal from the Materials Project. Energies are from PBE-GGA.

Output
E (MP2020) = -5.78 eV per atom
energy of formation from the pure elements = -6.5 eV per formula unit
theoretical density = 4.99 g/cm³

Structure (POSCAR):
```
Sc3Cu4Si4
1.0
-1.9809 3.2126 6.5606
1.9809 -3.2126 6.5606
1.9809 3.2126 -6.5606
Sc Cu Si
3 4 4
Cartesian
0.0000 0.0000 0.0000
1.9809 0.0000 4.8993
0.0000 3.2126 1.6613
1.9809 1.2420 -2.2326
1.9809 1.2420 2.2326
0.0000 1.9706 4.3280
0.0000 1.9706 8.7932
0.0000 0.0000 2.8441
1.9809 2.0167 0.0000
0.0000 1.1959 6.5606
0.0000 0.0000 10.2771
```

What is the E (MP2020) in the fifth record? -4.87 eV per atom

Which value of energy of formation from the pure elements does entry 3 give? -6.0 eV per formula unit